Entry 1:
LiCoCuO4 after structural relaxation. Source: the Materials Project, functional PBE with a Hubbard U. Values from VASP.

Quantum ESPRESSO input file:
```
&SYSTEM
  ibrav = 0, nat = 14, ntyp = 4
/
ATOMIC_SPECIES
Li 6.94 Li.upf
Co 58.93 Co.upf
Cu 63.55 Cu.upf
O 16.00 O.upf
CELL_PARAMETERS angstrom
5.640 0.000 0.000
2.773 5.042 0.000
2.782 1.717 4.765
ATOMIC_POSITIONS crystal
Li 0.000 0.000 0.000
Li 0.000 0.000 0.500
Co 0.000 0.500 0.000
Co 0.500 0.500 0.000
Cu 0.500 0.000 0.000
Cu 0.500 0.500 0.500
O 0.240 0.290 0.214
O 0.248 0.259 0.786
O 0.254 0.718 0.768
O 0.289 0.743 0.219
O 0.711 0.257 0.781
O 0.746 0.282 0.232
O 0.752 0.741 0.214
O 0.760 0.710 0.786
```

Values from the calculation:
Total energy = -5.3320 eV per atom
SG = P-1, No. 2
E_form = -121 kJ/mol of atoms
Magnetic moment = 2.0 μB per cell

---

Entry 2:
Li5Co5Cu2O12 after structural relaxation. Source: the Materials Project, functional PBE with a Hubbard U. Values from VASP.

Quantum ESPRESSO input file:
```
&SYSTEM
  ibrav = 0, nat = 24, ntyp = 4
/
ATOMIC_SPECIES
Li 6.94 Li.upf
Co 58.93 Co.upf
Cu 63.55 Cu.upf
O 16.00 O.upf
CELL_PARAMETERS angstrom
2.580 -4.303 0.000
2.580 4.303 0.000
-1.496 0.000 9.426
ATOMIC_POSITIONS crystal
Li 0.000 0.000 0.000
Li 0.074 0.404 0.243
Li 0.257 0.256 0.758
Li 0.596 0.926 0.757
Li 0.744 0.743 0.242
Co 0.332 0.668 0.000
Co 0.406 0.082 0.243
Co 0.505 0.495 0.500
Co 0.839 0.161 0.500
Co 0.918 0.594 0.757
Cu 0.173 0.827 0.500
Cu 0.664 0.336 0.000
O 0.093 0.740 0.134
O 0.152 0.141 0.390
O 0.194 0.512 0.605
O 0.260 0.907 0.866
O 0.385 0.388 0.118
O 0.488 0.806 0.395
O 0.597 0.251 0.624
O 0.612 0.615 0.882
O 0.668 0.028 0.116
O 0.749 0.403 0.376
O 0.859 0.848 0.610
O 0.972 0.332 0.884
```

Values from the calculation:
Total energy = -5.5178 eV per atom
SG = C2, No. 5
E_form = -146 kJ/mol of atoms
Magnetic moment = 4.0 μB per cell